Entry 1:
Cs3LaCl6 r2SCAN optimized geometry; total magnetization = 0.000 μB/atom; energy relative to the elements = -24.25 eV per formula unit
1.0
13.7073 -4.1828 0.0000
13.7073 4.1828 0.0000
-2.2656 0.0000 13.1911
Cs La Cl
12 4 24
direct
0.0317 0.6613 0.8545 Cs
0.1515 0.5244 0.1987 Cs
0.1964 0.7026 0.5670 Cs
0.2974 0.8036 0.9330 Cs
0.3387 0.9683 0.6455 Cs
0.4756 0.8485 0.3013 Cs
0.5244 0.1515 0.6987 Cs
0.6613 0.0317 0.3545 Cs
0.7026 0.1964 0.0670 Cs
0.8036 0.2974 0.4330 Cs
0.8485 0.4756 0.8013 Cs
0.9683 0.3387 0.1455 Cs
0.0000 0.5000 0.5000 La
0.2921 0.7079 0.2500 La
0.5000 0.0000 0.0000 La
0.7079 0.2921 0.7500 La
0.0030 0.8790 0.3218 Cl
0.1180 0.2223 0.4204 Cl
0.1210 0.9970 0.1782 Cl
0.1409 0.3588 0.6900 Cl
0.2223 0.1180 0.9204 Cl
0.2275 0.6569 0.0599 Cl
0.2842 0.3637 0.4654 Cl
0.3431 0.7725 0.4401 Cl
0.3588 0.1409 0.1900 Cl
0.3637 0.2842 0.9654 Cl
0.3987 0.4815 0.7998 Cl
0.4815 0.3987 0.2998 Cl
0.5185 0.6013 0.7002 Cl
0.6013 0.5185 0.2002 Cl
0.6363 0.7158 0.0346 Cl
0.6412 0.8591 0.8100 Cl
0.6569 0.2275 0.5599 Cl
0.7158 0.6363 0.5346 Cl
0.7725 0.3431 0.9401 Cl
0.7777 0.8820 0.0796 Cl
0.8591 0.6412 0.3100 Cl
0.8790 0.0030 0.8218 Cl
0.8820 0.7777 0.5796 Cl
0.9970 0.1210 0.6782 Cl


Entry 2:
Cs2LaCl5 r2SCAN optimized geometry; total magnetization = 0.000 μB/atom; energy relative to the elements = -19.96 eV per formula unit
1.0
13.8847 0.0000 0.0000
0.0000 9.2368 0.0000
0.0000 0.0000 8.5910
Cs La Cl
8 4 20
direct
0.1709 0.0053 0.0535 Cs
0.1709 0.4947 0.0535 Cs
0.3291 0.5053 0.5535 Cs
0.3291 0.9947 0.5535 Cs
0.6709 0.0053 0.4465 Cs
0.6709 0.4947 0.4465 Cs
0.8291 0.5053 0.9465 Cs
0.8291 0.9947 0.9465 Cs
0.0036 0.2500 0.5665 La
0.4964 0.7500 0.0665 La
0.5036 0.2500 0.9335 La
0.9964 0.7500 0.4335 La
0.0124 0.2500 0.8950 Cl
0.0709 0.5405 0.6566 Cl
0.0709 0.9595 0.6566 Cl
0.1708 0.2500 0.3834 Cl
0.1923 0.7500 0.3479 Cl
0.3077 0.2500 0.8479 Cl
0.3292 0.7500 0.8834 Cl
0.4291 0.0405 0.1566 Cl
0.4291 0.4595 0.1566 Cl
0.4876 0.7500 0.3950 Cl
0.5124 0.2500 0.6050 Cl
0.5709 0.5405 0.8434 Cl
0.5709 0.9595 0.8434 Cl
0.6708 0.2500 0.1166 Cl
0.6923 0.7500 0.1521 Cl
0.8077 0.2500 0.6521 Cl
0.8292 0.7500 0.6166 Cl
0.9291 0.0405 0.3434 Cl
0.9291 0.4595 0.3434 Cl
0.9876 0.7500 0.1050 Cl